Ho8Al3Ge9 | PBE | relaxed

Lattice parameters (Å, degrees): 10.5217 4.0738 20.1358 90.00 100.20 90.00
Closest atoms and distances in Å follow each position.
Space group C2/m (No. 12)
Unique sites:
Ho (0.0343, 0.0000, 0.1787) x4  6 Ge 2.98-3.06, 2 Al 3.20
Ho (0.0354, 0.5000, 0.6784) x4  6 Ge 2.99-3.04, 2 Al 3.19
Ho (0.2092, 0.5000, 0.0708) x4  8 Ge 3.02-3.15
Ho (0.2149, 0.0000, 0.5719) x4  6 Ge 3.00-3.04, 2 Al 3.19
Al (0.0000, 0.5000, 0.5000) x2  4 Ge 2.68
Al (0.2502, 0.0000, 0.7495) x4  4 Ge 2.65-2.67
Ge (0.0000, 0.0000, 0.0000) x2  4 Ge 2.73
Ge (0.0708, 0.0000, 0.4285) x4  1 Ge 2.60, 2 Al 2.68
Ge (0.0760, 0.5000, 0.9253) x4  3 Ge 2.56-2.73
Ge (0.1787, 0.0000, 0.3217) x4  1 Ge 2.60, 2 Al 2.67
Ge (0.1819, 0.5000, 0.8201) x4  1 Ge 2.56, 2 Al 2.65

Output
electronic total energy	-208.147	eV/cell
formation energy from the elements	-0.729	eV per atom

Ta4WC5 | PBE | relaxed

Lattice parameters (Å, degrees): 3.1520 3.1520 38.7364 90.00 90.00 120.00
Closest atoms and distances in Å follow each position.
Space group R-3m (No. 166, hexagonal axes)
Unique sites:
Ta (0.0000, 0.0000, 0.1004) x6  6 C 2.23-2.25
Ta (0.0000, 0.0000, 0.2995) x6  6 C 2.24
W (0.0000, 0.0000, 0.5000) x3  6 C 2.21
C (0.0000, 0.0000, 0.0000) x3  6 Ta 2.24
C (0.0000, 0.0000, 0.1989) x6  3 W 2.21, 3 Ta 2.25
C (0.0000, 0.0000, 0.4007) x6  6 Ta 2.23-2.24

Output
electronic total energy	-331.610	eV/cell
formation energy from the elements	-0.400	eV per atom

TiAs2 | PBE | relaxed

Lattice parameters (Å, degrees): 8.9778 13.3141 3.5160 90.00 90.00 90.00
Closest atoms and distances in Å follow each position.
Space group Pnnm (No. 58)
Unique sites:
Ti (0.0181, 0.2465, 0.0000) x4  8 As 2.63-2.73
Ti (0.1725, 0.9928, 0.0000) x4  8 As 2.68-2.71
As (0.0115, 0.0998, 0.5000) x4  6 Ti 2.63-2.71, 1 As 2.66
As (0.1142, 0.4410, 0.0000) x4  3 As 2.58-2.75, 3 Ti 2.69-2.73
As (0.1649, 0.6615, 0.5000) x4  3 Ti 2.68-2.70, 2 As 2.75
As (0.2250, 0.3014, 0.5000) x4  4 Ti 2.66-2.71, 4 As 2.75

Output
electronic total energy	-152.973	eV/cell
formation energy from the elements	-0.636	eV per atom

K2NaTlI6 | PBE | relaxed

Lattice parameters (Å, degrees): 12.2803 12.2803 12.2803 90.00 90.00 90.00
Closest atoms and distances in Å follow each position.
Space group Fm-3m (No. 225)
Unique sites:
K (0.2500, 0.2500, 0.2500) x8  12 I 4.34
Na (0.0000, 0.0000, 0.0000) x4  6 I 3.13
Tl (0.0000, 0.0000, 0.5000) x4  6 I 3.01
I (0.0000, 0.0000, 0.2546) x24  1 Tl 3.01, 1 Na 3.13

Output
electronic total energy	-94.560	eV/cell
formation energy from the elements	-1.086	eV per atom

Mg14TiMn | PBE | relaxed

Lattice parameters (Å, degrees): 6.3186 6.3186 10.0547 90.00 90.00 120.00
Closest atoms and distances in Å follow each position.
Space group P-6m2 (No. 187)
Unique sites:
Mg (0.0000, 0.0000, 0.2485) x2  12 Mg 3.11-3.16
Mg (0.0096, 0.5048, 0.2513) x6  1 Mn 3.06, 10 Mg 3.07-3.25, 1 Ti 3.09
Mg (0.3338, 0.1669, 0.5000) x3  10 Mg 3.11-3.16, 2 Mn 3.16
Mg (0.3371, 0.1685, 0.0000) x3  10 Mg 3.11-3.19, 2 Ti 3.16
Ti (0.3333, 0.6667, 0.0000) x1  12 Mg 3.09-3.16
Mn (0.3333, 0.6667, 0.5000) x1  12 Mg 3.06-3.16

Output
electronic total energy	-37.850	eV/cell
formation energy from the elements	0.101	eV per atom

TiIn2O5 | PBE | relaxed

Lattice parameters (Å, degrees): 7.3824 3.5364 15.1607 90.00 90.00 90.00
Closest atoms and distances in Å follow each position.
Space group Pnma (No. 62)
Unique sites:
Ti (0.1078, 0.2500, 0.0780) x4  3 O 1.82-1.85
In (0.0986, 0.2500, 0.4165) x4  6 O 2.22-2.27
In (0.1753, 0.2500, 0.7608) x4  6 O 2.15-2.26
O (0.0576, 0.7500, 0.3245) x4  4 In 2.15-2.27
O (0.0710, 0.7500, 0.0465) x4  2 Ti 1.85
O (0.1310, 0.7500, 0.8514) x4  1 Ti 2.06, 3 In 2.23-2.26
O (0.1546, 0.7500, 0.5049) x4  1 Ti 2.08, 3 In 2.22-2.26
O (0.2366, 0.2500, 0.1805) x4  1 Ti 1.82

Output
electronic total energy	-220.414	eV/cell
formation energy from the elements	-2.550	eV per atom